1.
This record from the Materials Project database describes ThAl3 after structural relaxation. The functional is meta-GGA r2SCAN.

Values from the calculation:
Space-group type: P6_3/mmc
Calculated total energy in eV for the cell shown: -190.8
Crystal system: hexagonal
DFT formation energy in eV/atom: -0.437
Calculated volume in Å³ per atom: 21.18

a b c (Å): 6.538 6.538 4.578
angles (deg): 90.00 90.00 120.00
Element x y z (fractional)
Th (0.333, 0.667, 0.250)
Th (0.667, 0.333, 0.750)
Al (0.139, 0.278, 0.750)
Al (0.139, 0.861, 0.750)
Al (0.278, 0.139, 0.250)
Al (0.722, 0.861, 0.750)
Al (0.861, 0.139, 0.250)
Al (0.861, 0.722, 0.250)

=====

2.
This record from the Materials Project database describes RbPaF6 after structural relaxation. The functional is meta-GGA r2SCAN.

Values from the calculation:
Space-group type: Cmme
Calculated total energy in eV for the cell shown: -279.3
Crystal system: orthorhombic
DFT formation energy in eV/atom: -3.764
Calculated volume in Å³ per atom: 20.05

a b c (Å): 6.990 6.990 7.014
angles (deg): 90.00 90.00 110.62
Element x y z (fractional)
Rb (0.250, 0.750, 0.992)
Rb (0.750, 0.250, 0.008)
Pa (0.000, 0.500, 0.500)
Pa (0.500, 0.000, 0.500)
F (0.097, 0.379, 0.743)
F (0.121, 0.403, 0.257)
F (0.147, 0.853, 0.518)
F (0.353, 0.647, 0.518)
F (0.379, 0.097, 0.257)
F (0.403, 0.121, 0.743)
F (0.597, 0.879, 0.257)
F (0.621, 0.903, 0.743)
F (0.647, 0.353, 0.482)
F (0.853, 0.147, 0.482)
F (0.879, 0.597, 0.743)
F (0.903, 0.621, 0.257)

=====

3.
This record from the Materials Project database describes Ac2NiIr after structural relaxation. The functional is meta-GGA r2SCAN.

Values from the calculation:
Space-group type: Fm-3m
Calculated total energy in eV for the cell shown: -202.9
Crystal system: cubic
DFT formation energy in eV/atom: -0.325
Calculated volume in Å³ per atom: 25.08

a b c (Å): 5.216 5.216 5.216
angles (deg): 60.00 60.00 60.00
Element x y z (fractional)
Ac (0.250, 0.250, 0.250)
Ac (0.750, 0.750, 0.750)
Ni (0.000, 0.000, 0.000)
Ir (0.500, 0.500, 0.500)

=====

4.
This record from the Materials Project database describes La3NbO7 after structural relaxation. The functional is meta-GGA r2SCAN.

Values from the calculation:
Space-group type: Pnma
ΔE to the lowest computed polymorph in eV/atom: 0.000
Calculated total energy in eV for the cell shown: -779.9
Crystal system: orthorhombic
DFT formation energy in eV/atom: -3.564
Calculated volume in Å³ per atom: 15.20

a b c (Å): 7.782 11.166 7.697
angles (deg): 90.00 90.00 90.00
Element x y z (fractional)
La (0.008, 0.250, 0.220)
La (0.249, 0.524, 0.047)
La (0.249, 0.976, 0.047)
La (0.251, 0.024, 0.547)
La (0.251, 0.476, 0.547)
La (0.492, 0.750, 0.720)
La (0.508, 0.250, 0.280)
La (0.749, 0.524, 0.453)
La (0.749, 0.976, 0.453)
La (0.751, 0.024, 0.953)
La (0.751, 0.476, 0.953)
La (0.992, 0.750, 0.780)
Nb (0.006, 0.250, 0.749)
Nb (0.494, 0.750, 0.249)
Nb (0.506, 0.250, 0.751)
Nb (0.994, 0.750, 0.251)
O (0.034, 0.128, 0.950)
O (0.034, 0.372, 0.950)
O (0.040, 0.617, 0.410)
O (0.040, 0.883, 0.410)
O (0.246, 0.619, 0.773)
O (0.246, 0.881, 0.773)
O (0.247, 0.250, 0.677)
O (0.253, 0.750, 0.177)
O (0.254, 0.119, 0.273)
O (0.254, 0.381, 0.273)
O (0.460, 0.117, 0.910)
O (0.460, 0.383, 0.910)
O (0.466, 0.628, 0.450)
O (0.466, 0.872, 0.450)
O (0.534, 0.128, 0.550)
O (0.534, 0.372, 0.550)
O (0.540, 0.617, 0.090)
O (0.540, 0.883, 0.090)
O (0.746, 0.619, 0.727)
O (0.746, 0.881, 0.727)
O (0.747, 0.250, 0.823)
O (0.753, 0.750, 0.323)
O (0.754, 0.119, 0.227)
O (0.754, 0.381, 0.227)
O (0.960, 0.117, 0.590)
O (0.960, 0.383, 0.590)
O (0.966, 0.628, 0.050)
O (0.966, 0.872, 0.050)

=====

5.
This record from the Materials Project database describes KGe2N3 after structural relaxation. The functional is meta-GGA r2SCAN.

Values from the calculation:
Space-group type: Cmc2_1
Calculated total energy in eV for the cell shown: -125.8
Crystal system: orthorhombic
DFT formation energy in eV/atom: -0.291
Calculated volume in Å³ per atom: 13.10

a b c (Å): 5.826 5.826 5.267
angles (deg): 90.00 90.00 61.56
Element x y z (fractional)
K (0.154, 0.846, 0.500)
K (0.846, 0.154, 0.000)
Ge (0.183, 0.470, 0.979)
Ge (0.470, 0.183, 0.479)
Ge (0.530, 0.817, 0.979)
Ge (0.817, 0.530, 0.479)
N (0.146, 0.383, 0.643)
N (0.299, 0.701, 0.013)
N (0.383, 0.146, 0.143)
N (0.617, 0.854, 0.643)
N (0.701, 0.299, 0.513)
N (0.854, 0.617, 0.143)

=====

6.
This record from the Materials Project database describes RbAs2Rh2 after structural relaxation. The functional is meta-GGA r2SCAN.

Values from the calculation:
Space-group type: I4/mmm
Calculated total energy in eV for the cell shown: -95.2
Crystal system: tetragonal
DFT formation energy in eV/atom: -0.711
Calculated volume in Å³ per atom: 22.63

a b c (Å): 7.572 7.572 7.572
angles (deg): 149.26 149.26 44.04
Element x y z (fractional)
Rb (0.000, 0.000, 0.000)
As (0.347, 0.347, 0.000)
As (0.653, 0.653, 0.000)
Rh (0.250, 0.750, 0.500)
Rh (0.750, 0.250, 0.500)

=====

7.
This record from the Materials Project database describes CrAsO4 after structural relaxation. The functional is meta-GGA r2SCAN.

Values from the calculation:
Space-group type: Pnma
Calculated total energy in eV for the cell shown: -257.2
Crystal system: orthorhombic
DFT formation energy in eV/atom: -1.770
Calculated volume in Å³ per atom: 11.22

a b c (Å): 9.012 6.264 4.769
angles (deg): 90.00 90.00 90.00
Element x y z (fractional)
Cr (0.000, 0.000, 0.000)
Cr (0.000, 0.500, 0.000)
Cr (0.500, 0.000, 0.500)
Cr (0.500, 0.500, 0.500)
As (0.182, 0.250, 0.478)
As (0.318, 0.750, 0.978)
As (0.682, 0.250, 0.022)
As (0.818, 0.750, 0.522)
O (0.114, 0.250, 0.817)
O (0.126, 0.022, 0.326)
O (0.126, 0.478, 0.326)
O (0.128, 0.750, 0.909)
O (0.372, 0.250, 0.409)
O (0.374, 0.522, 0.826)
O (0.374, 0.978, 0.826)
O (0.386, 0.750, 0.317)
O (0.614, 0.250, 0.683)
O (0.626, 0.022, 0.174)
O (0.626, 0.478, 0.174)
O (0.628, 0.750, 0.591)
O (0.872, 0.250, 0.091)
O (0.874, 0.522, 0.674)
O (0.874, 0.978, 0.674)
O (0.886, 0.750, 0.183)

=====

8.
This record from the Materials Project database describes TiH2 after structural relaxation. The functional is meta-GGA r2SCAN.

Values from the calculation:
Space-group type: Fm-3m
Calculated total energy in eV for the cell shown: -21.4
Crystal system: cubic
DFT formation energy in eV/atom: -0.530
Calculated volume in Å³ per atom: 7.14

a b c (Å): 3.118 3.118 3.118
angles (deg): 60.00 60.00 60.00
Element x y z (fractional)
Ti (0.000, 0.000, 0.000)
H (0.250, 0.250, 0.250)
H (0.750, 0.750, 0.750)

=====

9.
This record from the Materials Project database describes Er2Al9Rh3 after structural relaxation. The functional is meta-GGA r2SCAN.

Values from the calculation:
Space-group type: Cmcm
Calculated total energy in eV for the cell shown: -426.9
Crystal system: orthorhombic
DFT formation energy in eV/atom: -0.899
Calculated volume in Å³ per atom: 16.34

a b c (Å): 7.479 7.479 9.384
angles (deg): 90.00 90.00 60.67
Element x y z (fractional)
Er (0.006, 0.673, 0.750)
Er (0.327, 0.994, 0.750)
Er (0.673, 0.006, 0.250)
Er (0.994, 0.327, 0.250)
Al (0.001, 0.664, 0.075)
Al (0.001, 0.664, 0.425)
Al (0.130, 0.870, 0.250)
Al (0.333, 0.667, 0.549)
Al (0.333, 0.667, 0.951)
Al (0.336, 0.999, 0.075)
Al (0.336, 0.999, 0.425)
Al (0.340, 0.450, 0.250)
Al (0.450, 0.340, 0.750)
Al (0.550, 0.660, 0.250)
Al (0.660, 0.550, 0.750)
Al (0.664, 0.001, 0.575)
Al (0.664, 0.001, 0.925)
Al (0.667, 0.333, 0.049)
Al (0.667, 0.333, 0.451)
Al (0.870, 0.130, 0.750)
Al (0.999, 0.336, 0.575)
Al (0.999, 0.336, 0.925)
Rh (0.000, 0.000, 0.000)
Rh (0.000, 0.000, 0.500)
Rh (0.327, 0.327, 0.000)
Rh (0.327, 0.327, 0.500)
Rh (0.673, 0.673, 0.000)
Rh (0.673, 0.673, 0.500)

=====

10.
This record from the Materials Project database describes NdErZn2 after structural relaxation. The functional is meta-GGA r2SCAN.

Values from the calculation:
Space-group type: Fm-3m
Calculated total energy in eV for the cell shown: -82.5
Crystal system: cubic
DFT formation energy in eV/atom: -0.344
Calculated volume in Å³ per atom: 23.20

a b c (Å): 5.082 5.082 5.082
angles (deg): 60.00 60.00 60.00
Element x y z (fractional)
Nd (0.000, 0.000, 0.000)
Er (0.500, 0.500, 0.500)
Zn (0.250, 0.250, 0.250)
Zn (0.750, 0.750, 0.750)

=====

11.
This record from the Materials Project database describes CsNbO3 after structural relaxation. The functional is meta-GGA r2SCAN.

Values from the calculation:
Space-group type: P2_1/c
Calculated total energy in eV for the cell shown: -647.1
Crystal system: monoclinic
DFT formation energy in eV/atom: -2.624
Calculated volume in Å³ per atom: 19.24

a b c (Å): 5.170 16.046 9.291
angles (deg): 90.00 93.16 90.00
Element x y z (fractional)
Cs (0.097, 0.242, 0.206)
Cs (0.097, 0.258, 0.706)
Cs (0.384, 0.607, 0.012)
Cs (0.384, 0.893, 0.512)
Cs (0.616, 0.107, 0.488)
Cs (0.616, 0.393, 0.988)
Cs (0.903, 0.742, 0.294)
Cs (0.903, 0.758, 0.794)
Nb (0.028, 0.502, 0.314)
Nb (0.028, 0.998, 0.814)
Nb (0.461, 0.605, 0.554)
Nb (0.461, 0.895, 0.054)
Nb (0.539, 0.105, 0.946)
Nb (0.539, 0.395, 0.446)
Nb (0.972, 0.002, 0.186)
Nb (0.972, 0.498, 0.686)
O (0.109, 0.046, 0.352)
O (0.109, 0.454, 0.852)
O (0.171, 0.609, 0.676)
O (0.171, 0.891, 0.176)
O (0.249, 0.035, 0.040)
O (0.249, 0.465, 0.540)
O (0.249, 0.601, 0.369)
O (0.249, 0.899, 0.869)
O (0.323, 0.065, 0.764)
O (0.323, 0.435, 0.264)
O (0.438, 0.213, 0.955)
O (0.438, 0.287, 0.455)
O (0.562, 0.713, 0.545)
O (0.562, 0.787, 0.045)
O (0.677, 0.565, 0.736)
O (0.677, 0.935, 0.236)
O (0.751, 0.101, 0.131)
O (0.751, 0.399, 0.631)
O (0.751, 0.535, 0.460)
O (0.751, 0.965, 0.960)
O (0.829, 0.109, 0.824)
O (0.829, 0.391, 0.324)
O (0.891, 0.546, 0.148)
O (0.891, 0.954, 0.648)

=====

12.
This record from the Materials Project database describes UTe2 after structural relaxation. The functional is meta-GGA r2SCAN.

Values from the calculation:
Space-group type: P4/nmm
Calculated total energy in eV for the cell shown: -267.7
Crystal system: tetragonal
DFT formation energy in eV/atom: -1.025
Calculated volume in Å³ per atom: 30.55

a b c (Å): 4.504 4.504 9.036
angles (deg): 90.00 90.00 90.00
Element x y z (fractional)
U (0.250, 0.250, 0.231)
U (0.750, 0.750, 0.769)
Te (0.250, 0.250, 0.868)
Te (0.250, 0.750, 0.500)
Te (0.750, 0.250, 0.500)
Te (0.750, 0.750, 0.132)

=====

13.
This record from the Materials Project database describes SrLiGe2 after structural relaxation. The functional is meta-GGA r2SCAN.

Values from the calculation:
Space-group type: Pnma
Calculated total energy in eV for the cell shown: -190.8
Crystal system: orthorhombic
DFT formation energy in eV/atom: -0.604
Calculated volume in Å³ per atom: 23.11

a b c (Å): 7.170 4.461 11.558
angles (deg): 90.00 90.00 90.00
Element x y z (fractional)
Sr (0.137, 0.250, 0.144)
Sr (0.363, 0.750, 0.644)
Sr (0.637, 0.250, 0.356)
Sr (0.863, 0.750, 0.856)
Li (0.124, 0.250, 0.440)
Li (0.376, 0.750, 0.940)
Li (0.624, 0.250, 0.060)
Li (0.876, 0.750, 0.560)
Ge (0.035, 0.250, 0.662)
Ge (0.192, 0.250, 0.855)
Ge (0.308, 0.750, 0.355)
Ge (0.465, 0.750, 0.162)
Ge (0.535, 0.250, 0.838)
Ge (0.692, 0.250, 0.645)
Ge (0.808, 0.750, 0.145)
Ge (0.965, 0.750, 0.338)

=====

14.
This record from the Materials Project database describes KEuF4 after structural relaxation. The functional is meta-GGA r2SCAN.

Values from the calculation:
Space-group type: Pnma
Calculated total energy in eV for the cell shown: -315.2
Crystal system: orthorhombic
DFT formation energy in eV/atom: -3.625
Calculated volume in Å³ per atom: 14.49

a b c (Å): 6.157 3.671 15.383
angles (deg): 90.00 90.00 90.00
Element x y z (fractional)
K (0.224, 0.250, 0.201)
K (0.276, 0.750, 0.701)
K (0.724, 0.250, 0.299)
K (0.776, 0.750, 0.799)
Eu (0.249, 0.750, 0.439)
Eu (0.251, 0.250, 0.939)
Eu (0.749, 0.750, 0.061)
Eu (0.751, 0.250, 0.561)
F (0.002, 0.250, 0.058)
F (0.093, 0.250, 0.807)
F (0.107, 0.250, 0.366)
F (0.135, 0.250, 0.539)
F (0.365, 0.750, 0.039)
F (0.393, 0.750, 0.866)
F (0.407, 0.750, 0.307)
F (0.498, 0.750, 0.558)
F (0.502, 0.250, 0.442)
F (0.593, 0.250, 0.693)
F (0.607, 0.250, 0.134)
F (0.635, 0.250, 0.961)
F (0.865, 0.750, 0.461)
F (0.893, 0.750, 0.634)
F (0.907, 0.750, 0.193)
F (0.998, 0.750, 0.942)

=====

15.
This record from the Materials Project database describes Yb2Mg after structural relaxation. The functional is meta-GGA r2SCAN.

Values from the calculation:
Space-group type: C2/m
Calculated total energy in eV for the cell shown: -154.6
Crystal system: monoclinic
DFT formation energy in eV/atom: -0.019
Calculated volume in Å³ per atom: 27.71

a b c (Å): 6.034 6.034 8.916
angles (deg): 111.23 111.23 33.59
Element x y z (fractional)
Yb (0.011, 0.011, 0.225)
Yb (0.340, 0.340, 0.418)
Yb (0.660, 0.660, 0.582)
Yb (0.989, 0.989, 0.775)
Mg (0.313, 0.313, 0.915)
Mg (0.687, 0.687, 0.085)